Record 1
Na8MgCr2O8 | GGA+U | relaxed

Cell and atoms, written as extended XYZ:
```
19
Lattice="5.836 0.000 0.000 2.083 5.522 0.000 2.532 0.074 8.549" Properties=species:S:1:pos:R:3 pbc="T T T"
Na 0.000 0.000 0.000
Na 3.108 2.583 6.803
Na 2.805 2.726 3.578
Na 4.245 5.418 1.876
Na 5.632 3.124 6.357
Na 7.529 5.481 6.932
Na 7.193 5.117 3.125
Na 6.334 2.822 1.031
Mg 5.420 2.065 3.754
Cr 2.560 0.046 4.938
Cr 3.413 2.490 0.678
O 3.977 4.783 6.491
O 2.437 3.861 1.605
O 4.506 1.510 8.476
O 4.041 1.331 5.048
O 5.514 3.972 4.135
O 4.616 1.602 1.976
O 7.199 3.326 8.022
O 7.110 1.051 3.876
```

Results
**Energy relative to the elements**: -3285 kJ/mol of formula units
**Polymorph energy (0 for the lowest one)**: 0.7 kJ per mole of atoms
**Energy with MP2020 corrections**: -5.53 eV/atom
**Final energy**: -95.6 eV/f.u.

---

Record 2
LiCoCO4 | GGA+U | relaxed

Cell and atoms, written as extended XYZ:
```
28
Lattice="3.154 0.000 0.000 0.000 9.424 0.000 -3.017 0.000 9.193" Properties=species:S:1:pos:R:3 pbc="T T T"
Li -0.726 0.872 2.908
Li -2.235 3.840 7.505
Li 2.372 5.584 1.688
Li 0.863 8.552 6.284
Co -0.733 5.823 5.067
Co 0.775 8.313 0.471
Co -0.638 1.111 8.722
Co 0.870 3.601 4.125
C -0.655 1.589 5.862
C 0.854 3.123 1.265
C -0.717 6.301 7.927
C 0.792 7.835 3.331
O -0.716 4.733 3.536
O -2.224 9.403 8.132
O -0.676 2.317 4.735
O 0.832 2.395 0.139
O -0.717 0.343 5.782
O 0.791 4.369 1.185
O -0.801 6.953 6.792
O 0.708 7.183 2.196
O -0.571 2.241 6.997
O 0.938 2.471 2.400
O -0.654 5.055 8.007
O 0.854 9.081 3.411
O -0.695 7.029 9.054
O 0.813 7.108 4.458
O 2.361 0.021 1.061
O 0.853 4.691 5.657
```

Results
**Energy relative to the elements**: -1161 kJ/mol of formula units
**Polymorph energy (0 for the lowest one)**: 0.0 kJ per mole of atoms
**Energy with MP2020 corrections**: -7.15 eV/atom
**Final energy**: -45.7 eV/f.u.

---

Record 3
Co2B2O5 | GGA+U | relaxed

Cell and atoms, written as extended XYZ:
```
18
Lattice="3.192 0.000 0.000 -0.215 6.215 0.000 -0.104 -2.316 9.049" Properties=species:S:1:pos:R:3 pbc="T T T"
Co 0.647 0.490 3.247
Co 0.613 1.819 8.127
Co 2.260 2.080 0.922
Co 2.226 3.408 5.803
B 0.418 -1.179 7.519
B 0.449 3.414 3.213
B 2.424 0.485 5.836
B 2.455 5.078 1.531
O -0.025 4.650 2.700
O 0.596 -0.305 8.559
O 0.633 2.362 2.339
O 0.660 3.335 4.547
O 0.622 3.748 7.410
O 2.251 0.151 1.639
O 2.214 0.564 4.503
O 2.240 1.536 6.711
O 2.277 4.204 0.490
O 2.898 -0.751 6.350
```

Results
**Energy relative to the elements**: -1873 kJ/mol of formula units
**Energy with MP2020 corrections**: -7.97 eV/atom
**Final energy**: -65.0 eV/f.u.

---

Record 4
Li2MnVP3O12 | GGA+U | relaxed

Cell and atoms, written as extended XYZ:
```
38
Lattice="8.280 0.000 0.000 4.007 7.287 0.000 0.029 4.558 7.651" Properties=species:S:1:pos:R:3 pbc="T T T"
Li 0.000 0.000 0.000
Li 2.516 5.253 2.068
Li 7.376 7.633 2.156
Li 7.035 2.146 2.122
Mn 5.671 4.885 5.448
Mn 9.901 7.353 4.474
V 1.606 2.619 1.418
V 5.713 4.986 0.741
P 4.467 7.128 3.003
P 2.846 5.097 6.840
P 4.487 2.945 3.034
P 7.493 7.234 6.807
P 8.036 4.962 3.052
P 11.094 9.337 6.877
O 2.283 5.685 5.584
O 4.313 6.099 1.808
O 5.427 8.274 2.531
O 4.291 9.018 7.354
O 2.807 1.639 0.377
O 3.057 3.357 2.532
O 5.916 11.261 7.398
O 4.951 6.498 4.263
O 4.280 4.585 6.790
O 4.728 3.568 4.399
O 5.550 3.466 1.981
O 7.101 5.664 1.986
O 7.016 8.611 7.324
O 8.659 8.713 3.058
O 6.303 6.297 6.630
O 8.300 7.424 5.535
O 7.325 4.751 4.369
O 9.274 5.892 3.153
O 10.944 10.847 6.821
O 8.317 1.984 0.325
O 8.513 3.572 2.486
O 10.116 4.238 0.351
O 10.863 8.655 5.539
O 11.304 7.740 3.104
```

Results
**Energy relative to the elements**: -4734 kJ/mol of formula units
**Polymorph energy (0 for the lowest one)**: 1.7 kJ per mole of atoms
**Energy with MP2020 corrections**: -7.72 eV/atom
**Final energy**: -135.1 eV/f.u.

---

Record 5
Li4Ni5TeP6O24 | GGA+U | relaxed

Cell and atoms, written as extended XYZ:
```
40
Lattice="8.304 0.000 0.000 3.587 7.592 0.000 3.600 2.332 7.221" Properties=species:S:1:pos:R:3 pbc="T T T"
Li 0.000 0.000 0.000
Li 6.003 8.306 3.528
Li 4.631 4.256 2.426
Li 9.802 6.885 5.718
Ni 7.485 7.216 7.075
Ni 6.313 6.407 0.963
Ni 8.498 7.873 2.020
Ni 8.160 2.328 3.512
Ni 10.291 3.752 4.558
Te 12.763 5.301 5.705
P 2.357 2.250 1.427
P 5.064 1.965 4.933
P 7.447 5.483 4.069
P 6.518 2.886 0.649
P 12.719 8.664 6.399
P 11.631 6.651 2.777
O 1.251 1.966 0.356
O 4.045 3.244 5.214
O 4.238 6.069 1.624
O 3.261 3.417 1.054
O 2.995 0.842 1.558
O 5.976 4.932 4.159
O 8.680 8.835 6.338
O 7.906 8.767 3.875
O 7.837 6.325 5.297
O 7.367 6.332 2.777
O 5.861 4.319 0.479
O 6.455 2.342 4.550
O 5.509 1.794 0.831
O 8.200 6.796 0.316
O 8.469 4.341 3.967
O 7.576 2.974 1.703
O 10.209 6.887 2.378
O 10.747 4.965 6.344
O 9.252 2.125 5.267
O 11.987 7.367 5.891
O 12.352 7.877 3.303
O 11.598 5.422 3.879
O 14.172 8.391 6.829
O 10.117 2.574 2.850
```

Results
**Energy relative to the elements**: -8543 kJ/mol of formula units
**Energy with MP2020 corrections**: -6.99 eV/atom
**Final energy**: -250.3 eV/f.u.

---

Record 6
LiFeAsCO7 | GGA+U | relaxed

Cell and atoms, written as extended XYZ:
```
22
Lattice="5.265 0.000 0.000 0.000 6.644 0.000 -0.694 0.000 8.802" Properties=species:S:1:pos:R:3 pbc="T T T"
Li 0.918 0.000 2.489
Li 3.653 3.322 6.313
Fe 0.476 4.931 7.448
Fe 4.094 1.609 1.354
As 0.799 1.551 8.117
As 3.772 4.873 0.684
C 1.047 4.891 4.964
C 3.524 1.569 3.837
O -0.172 4.866 5.425
O 0.713 1.450 0.852
O 0.316 2.910 7.206
O 0.521 0.198 7.129
O 1.301 5.132 3.754
O 2.076 4.991 0.326
O 1.965 4.700 5.856
O 2.605 1.378 2.945
O 2.495 1.669 8.475
O 3.269 1.810 5.047
O 4.049 3.520 1.673
O 4.254 6.232 1.595
O 3.858 4.772 7.950
O 4.743 1.544 3.376
```

Results
**Energy relative to the elements**: -1822 kJ/mol of formula units
**Energy with MP2020 corrections**: -7.07 eV/atom
**Final energy**: -70.7 eV/f.u.

---

Record 7
MgNb4Co2O12 | GGA+U | relaxed

Cell and atoms, written as extended XYZ:
```
19
Lattice="4.978 0.000 0.000 0.000 8.802 0.000 -0.008 0.000 5.108" Properties=species:S:1:pos:R:3 pbc="T T T"
Mg 0.000 0.000 0.000
Nb -0.004 1.646 2.554
Nb -0.004 7.143 2.554
Nb 2.489 2.878 0.000
Nb 2.489 5.930 0.000
Co -0.004 4.395 2.554
Co 2.489 8.795 0.000
O 0.966 8.795 3.404
O 1.170 5.942 3.543
O 1.175 2.846 3.540
O 1.251 1.487 0.918
O 1.251 7.308 0.919
O 1.526 4.400 0.869
O 3.444 4.400 4.238
O 3.719 1.487 4.189
O 3.719 7.308 4.189
O 3.795 2.846 1.568
O 3.800 5.942 1.565
O 4.004 8.795 1.704
```

Results
**Energy relative to the elements**: -4684 kJ/mol of formula units
**Polymorph energy (0 for the lowest one)**: 0.0 kJ per mole of atoms
**Energy with MP2020 corrections**: -8.64 eV/atom
**Final energy**: -152.6 eV/f.u.

---

Record 8
Li2V3CrO8 | GGA+U | relaxed

Cell and atoms, written as extended XYZ:
```
28
Lattice="5.118 -3.008 0.000 5.118 3.008 0.000 -3.077 0.000 9.756" Properties=species:S:1:pos:R:3 pbc="T T T"
Li 0.077 0.000 1.822
Li 3.505 0.000 3.054
Li 3.654 0.000 6.702
Li 7.082 0.000 7.934
V -1.538 0.000 4.878
V 2.559 1.504 0.000
V 1.020 1.504 4.878
V 2.559 -1.504 0.000
V 1.020 -1.504 4.878
V 5.118 0.000 0.000
Cr 0.246 0.000 7.311
Cr 6.913 0.000 2.445
O 2.550 1.635 3.735
O 0.188 0.000 3.841
O 1.008 1.367 8.610
O -1.268 0.000 8.656
O 1.762 0.000 5.980
O 3.390 0.000 1.039
O 4.608 1.635 6.021
O 6.151 1.367 1.146
O 1.008 -1.367 8.610
O 2.550 -1.635 3.735
O 3.769 0.000 8.717
O 5.396 0.000 3.776
O 8.427 0.000 1.100
O 6.151 -1.367 1.146
O 6.971 0.000 5.915
O 4.608 -1.635 6.021
```

Results
**Energy relative to the elements**: -3359 kJ/mol of formula units
**Polymorph energy (0 for the lowest one)**: 0.0 kJ per mole of atoms
**Energy with MP2020 corrections**: -8.22 eV/atom
**Final energy**: -102.5 eV/f.u.

---

Record 9
MgVO3 | GGA+U | relaxed

Cell and atoms, written as extended XYZ:
```
5
Lattice="3.779 0.000 0.000 0.000 3.779 0.000 0.000 0.000 3.779" Properties=species:S:1:pos:R:3 pbc="T T T"
Mg 0.000 0.000 0.000
V 1.890 1.890 1.890
O 0.000 1.890 1.890
O 1.890 0.000 1.890
O 1.890 1.890 0.000
```

Results
**Energy relative to the elements**: -1092 kJ/mol of formula units
**Energy with MP2020 corrections**: -7.37 eV/atom
**Final energy**: -33.1 eV/f.u.

---

Record 10
Ta2CrO6 | GGA+U | relaxed

Cell and atoms, written as extended XYZ:
```
36
Lattice="4.827 0.000 0.000 -0.088 9.656 0.000 -0.119 -4.739 9.354" Properties=species:S:1:pos:R:3 pbc="T T T"
Ta 4.771 0.005 3.078
Ta -0.152 4.913 6.276
Ta -0.070 4.824 3.123
Ta 2.348 2.427 1.566
Ta 2.288 -2.301 7.782
Ta 2.331 7.219 1.572
Ta 2.271 2.491 7.788
Ta 4.689 0.094 6.231
Cr 0.000 0.000 0.000
Cr -0.044 4.828 0.000
Cr 2.354 -2.370 4.677
Cr 2.310 2.459 4.677
O 0.764 5.792 4.693
O 0.818 0.931 4.657
O 0.832 -3.729 7.741
O 0.953 0.964 1.664
O 0.868 1.133 7.570
O 0.948 5.776 1.666
O 1.234 -1.313 6.450
O 1.254 3.569 6.440
O 1.347 3.384 3.048
O 1.443 3.354 0.021
O 1.443 -1.448 2.997
O 1.378 3.342 9.345
O 3.242 1.575 0.009
O 3.176 6.366 6.357
O 3.176 1.563 9.333
O 3.273 1.534 6.306
O 3.365 1.348 2.914
O 3.385 6.231 2.904
O 3.671 -0.858 7.688
O 3.751 3.784 1.784
O 3.667 3.953 7.690
O 3.787 8.646 1.613
O 3.801 3.986 4.697
O 3.855 -0.875 4.660
```

Results
**Energy relative to the elements**: -2644 kJ/mol of formula units
**Polymorph energy (0 for the lowest one)**: 0.2 kJ per mole of atoms
**Energy with MP2020 corrections**: -10.05 eV/atom
**Final energy**: -84.3 eV/f.u.

---

Record 11
LiVF3 | GGA+U | relaxed

Cell and atoms, written as extended XYZ:
```
20
Lattice="6.109 -3.850 0.000 6.109 3.850 0.000 -2.355 0.000 5.371" Properties=species:S:1:pos:R:3 pbc="T T T"
Li 4.343 3.322 4.029
Li 5.520 1.426 1.343
Li 4.343 -1.426 4.029
Li 5.520 -3.322 1.343
V 1.426 0.670 3.720
V 2.603 -0.670 1.034
V 7.260 0.670 4.337
V 8.437 -0.670 1.652
F 1.531 1.190 1.574
F 4.342 2.727 2.063
F 6.699 2.727 0.622
F 4.318 0.356 0.362
F 0.353 -1.190 4.259
F 3.140 -0.356 3.048
F 6.723 0.356 2.324
F 9.510 1.190 1.112
F 5.545 -0.356 5.009
F 3.164 -2.727 4.749
F 5.522 -2.727 3.308
F 8.333 -1.190 3.798
```

Results
**Energy relative to the elements**: -1430 kJ/mol of formula units
**Polymorph energy (0 for the lowest one)**: 7.9 kJ per mole of atoms
**Energy with MP2020 corrections**: -6.31 eV/atom
**Final energy**: -28.5 eV/f.u.

---

Record 12
CaV2O4 | GGA+U | relaxed

Cell and atoms, written as extended XYZ:
```
28
Lattice="5.245 0.000 0.000 -0.080 6.046 0.000 -0.026 -0.106 11.183" Properties=species:S:1:pos:R:3 pbc="T T T"
Ca 0.000 0.000 0.000
Ca 0.270 3.031 5.595
Ca 1.909 2.982 11.176
Ca 3.566 -0.001 5.587
V 0.031 2.984 8.511
V 0.085 3.050 2.678
V 0.160 -0.034 8.263
V 0.211 0.005 2.913
V 2.719 1.470 8.390
V 2.679 4.497 8.377
V 2.791 1.550 2.796
V 2.749 4.558 2.780
O 0.899 4.477 9.551
O 0.956 1.412 9.541
O 1.026 1.527 1.681
O 0.982 4.590 1.613
O 1.754 2.972 7.396
O 1.785 3.093 3.792
O 1.922 -0.057 7.277
O 1.984 0.009 3.881
O 3.514 3.009 9.479
O 3.583 3.062 1.669
O 3.687 -0.034 9.375
O 3.777 0.013 1.791
O 4.481 1.547 3.957
O 4.479 1.538 7.235
O 4.467 4.517 7.211
O 4.540 4.522 3.951
```

Results
**Energy relative to the elements**: -1882 kJ/mol of formula units
**Polymorph energy (0 for the lowest one)**: 1.4 kJ per mole of atoms
**Energy with MP2020 corrections**: -8.50 eV/atom
**Final energy**: -53.3 eV/f.u.

---

Record 13
Li2TiVO4 | GGA+U | relaxed

Cell and atoms, written as extended XYZ:
```
32
Lattice="4.237 -4.237 0.000 4.237 4.237 0.000 -0.082 0.000 8.450" Properties=species:S:1:pos:R:3 pbc="T T T"
Li 3.114 2.120 5.293
Li 1.049 0.000 1.050
Li 3.130 0.025 3.161
Li 5.277 2.120 3.157
Li 3.164 -2.110 1.049
Li 5.261 0.025 5.289
Li 5.227 -2.110 7.401
Li 7.343 0.000 7.400
Ti 1.021 -0.031 5.325
Ti 3.137 0.030 7.424
Ti 5.254 0.030 1.026
Ti 7.370 -0.031 3.125
V 3.138 2.132 1.087
V 5.253 2.132 7.363
V 3.174 -2.099 5.250
V 5.218 -2.099 3.200
O 3.080 2.237 3.193
O 0.920 0.022 3.247
O 1.051 0.015 7.318
O 3.127 1.997 7.411
O 3.040 0.000 5.333
O 5.311 2.237 5.257
O 3.209 0.008 1.008
O 5.265 1.997 1.039
O 3.128 -1.970 7.334
O 5.183 0.008 7.442
O 5.351 0.000 3.117
O 3.153 -2.245 3.186
O 5.264 -1.970 1.116
O 7.341 0.015 1.132
O 7.471 0.022 5.203
O 5.239 -2.245 5.264
```

Results
**Energy relative to the elements**: -2120 kJ/mol of formula units
**Polymorph energy (0 for the lowest one)**: 0.5 kJ per mole of atoms
**Energy with MP2020 corrections**: -7.82 eV/atom
**Final energy**: -58.1 eV/f.u.

---

Theoretical density, respectively: 2.65; 3.45; 4.06; 2.91; 3.72; 2.82; 5.24; 3.83; 3.79; 7.77; 3.02; 3.86; 3.87 g/cm³.